Entry 1:
# GGA+U CoI2O6, relaxed
data_CoI2O6
_chemical_formula_sum 'Co4 I8 O24'
_symmetry_space_group_name_H-M 'P 1'
_symmetry_Int_Tables_number 1
_symmetry_space_group_name_Hall 'P 1'
_cell_length_a 5.372
_cell_length_b 5.659
_cell_length_c 17.746
_cell_angle_alpha 90.00
_cell_angle_beta 90.00
_cell_angle_gamma 90.00
loop_
_atom_site_label
_atom_site_type_symbol
_atom_site_fract_x
_atom_site_fract_y
_atom_site_fract_z
Co1 Co 0.223 0.328 0.900
O1 O 0.521 0.012 0.204
O2 O 0.471 0.978 0.658
I1 I 0.757 0.281 0.794
O3 O 0.029 0.022 0.158
O4 O 0.107 0.631 0.622
I2 I 0.523 0.860 0.925
O5 O 0.919 0.382 0.020
O6 O 0.746 0.166 0.549
I3 I 0.243 0.781 0.706
O7 O 0.754 0.834 0.049
O8 O 0.602 0.498 0.664
O9 O 0.893 0.131 0.878
I4 I 0.743 0.719 0.294
O10 O 0.246 0.334 0.451
I5 I 0.257 0.219 0.206
O11 O 0.398 0.998 0.836
Co2 Co 0.277 0.672 0.400
O12 O 0.581 0.618 0.520
O13 O 0.419 0.118 0.980
O14 O 0.254 0.666 0.951
O15 O 0.607 0.869 0.378
I6 I 0.977 0.140 0.425
Co3 Co 0.777 0.828 0.600
O16 O 0.898 0.502 0.164
O17 O 0.393 0.369 0.122
O18 O 0.479 0.512 0.296
I7 I 0.477 0.360 0.575
O19 O 0.971 0.522 0.342
O20 O 0.529 0.478 0.842
Co4 Co 0.723 0.172 0.100
O21 O 0.081 0.882 0.480
I8 I 0.023 0.640 0.075
O22 O 0.021 0.488 0.796
O23 O 0.979 0.988 0.704
O24 O 0.102 0.002 0.336
# uncorrected energy: -170.0 eV/cell
# calculated volume: 539 Å³ per cell
# ΔE_f: -0.936 eV/atom

---

Entry 2:
# GGA+U CoI2O10, relaxed
data_CoI2O10
_chemical_formula_sum 'Co2 I4 O20'
_symmetry_space_group_name_H-M 'P 1'
_symmetry_Int_Tables_number 1
_symmetry_space_group_name_Hall 'P 1'
_cell_length_a 6.322
_cell_length_b 7.666
_cell_length_c 8.144
_cell_angle_alpha 97.97
_cell_angle_beta 90.00
_cell_angle_gamma 90.00
loop_
_atom_site_label
_atom_site_type_symbol
_atom_site_fract_x
_atom_site_fract_y
_atom_site_fract_z
O1 O 0.568 0.667 0.060
O2 O 0.619 0.351 0.258
Co1 Co 0.500 0.000 0.500
O3 O 0.719 0.093 0.983
O4 O 0.381 0.649 0.742
O5 O 0.412 0.213 0.581
O6 O 0.588 0.787 0.419
O7 O 0.281 0.907 0.017
O8 O 0.932 0.667 0.560
I1 I 0.192 0.659 0.461
O9 O 0.912 0.787 0.919
O10 O 0.416 0.079 0.316
I2 I 0.692 0.341 0.039
O11 O 0.881 0.351 0.758
O12 O 0.084 0.079 0.816
O13 O 0.584 0.921 0.684
O14 O 0.088 0.213 0.081
Co2 Co 0.000 0.000 0.000
O15 O 0.432 0.333 0.940
O16 O 0.119 0.649 0.242
O17 O 0.068 0.333 0.440
I3 I 0.808 0.341 0.539
O18 O 0.916 0.921 0.184
I4 I 0.308 0.659 0.961
O19 O 0.781 0.093 0.483
O20 O 0.219 0.907 0.517
# uncorrected energy: -109.8 eV/cell
# calculated volume: 391 Å³ per cell
# ΔE_f: -0.290 eV/atom

---

Entry 3:
# GGA+U CoI2O6, relaxed
data_CoI2O6
_chemical_formula_sum 'Co4 I8 O24'
_symmetry_space_group_name_H-M 'P 1'
_symmetry_Int_Tables_number 1
_symmetry_space_group_name_Hall 'P 1'
_cell_length_a 5.454
_cell_length_b 10.870
_cell_length_c 10.909
_cell_angle_alpha 119.25
_cell_angle_beta 90.02
_cell_angle_gamma 90.02
loop_
_atom_site_label
_atom_site_type_symbol
_atom_site_fract_x
_atom_site_fract_y
_atom_site_fract_z
Co1 Co 0.072 0.491 0.998
O1 O 0.781 0.858 0.031
O2 O 0.859 0.354 0.038
O3 O 0.860 0.171 0.623
O4 O 0.359 0.141 0.961
O5 O 0.365 0.331 0.373
O6 O 0.863 0.856 0.534
O7 O 0.283 0.522 0.177
O8 O 0.779 0.977 0.824
O9 O 0.363 0.827 0.874
O10 O 0.849 0.957 0.320
O11 O 0.282 0.635 0.966
O12 O 0.285 0.823 0.342
O13 O 0.349 0.044 0.177
I1 I 0.464 0.166 0.814
Co2 Co 0.571 0.005 0.002
O14 O 0.282 0.322 0.845
I2 I 0.463 0.667 0.316
I3 I 0.963 0.835 0.684
O15 O 0.285 0.025 0.671
I4 I 0.963 0.332 0.186
O16 O 0.779 0.366 0.538
I5 I 0.995 0.837 0.151
Co3 Co 0.571 0.509 0.505
O17 O 0.868 0.670 0.128
O18 O 0.785 0.679 0.656
I6 I 0.494 0.164 0.347
I7 I 0.493 0.660 0.847
O19 O 0.787 0.475 0.328
O20 O 0.846 0.455 0.826
I8 I 0.991 0.339 0.654
O21 O 0.781 0.176 0.157
O22 O 0.345 0.543 0.677
O23 O 0.278 0.140 0.465
O24 O 0.362 0.649 0.467
Co4 Co 0.072 0.994 0.494
# uncorrected energy: -163.3 eV/cell
# calculated volume: 564 Å³ per cell
# ΔE_f: -0.750 eV/atom

---

Entry 4:
# GGA+U CoI2O6, relaxed
data_CoI2O6
_chemical_formula_sum 'Co1 I2 O6'
_symmetry_space_group_name_H-M 'P 1'
_symmetry_Int_Tables_number 1
_symmetry_space_group_name_Hall 'P 1'
_cell_length_a 5.578
_cell_length_b 5.578
_cell_length_c 4.584
_cell_angle_alpha 88.74
_cell_angle_beta 88.74
_cell_angle_gamma 121.44
loop_
_atom_site_label
_atom_site_type_symbol
_atom_site_fract_x
_atom_site_fract_y
_atom_site_fract_z
O1 O 0.687 0.687 0.250
I1 I 0.343 0.675 0.499
O2 O 0.647 0.996 0.739
O3 O 0.347 0.983 0.258
O4 O 0.996 0.647 0.739
Co1 Co 0.000 0.000 0.994
O5 O 0.320 0.320 0.763
I2 I 0.675 0.343 0.499
O6 O 0.983 0.347 0.258
# uncorrected energy: -39.8 eV/cell
# calculated volume: 122 Å³ per cell
# ΔE_f: -0.633 eV/atom

---

Entry 5:
# GGA+U CoI2O6, relaxed
data_CoI2O6
_chemical_formula_sum 'Co4 I8 O24'
_symmetry_space_group_name_H-M 'P 1'
_symmetry_Int_Tables_number 1
_symmetry_space_group_name_Hall 'P 1'
_cell_length_a 5.238
_cell_length_b 7.078
_cell_length_c 14.774
_cell_angle_alpha 90.00
_cell_angle_beta 90.00
_cell_angle_gamma 90.00
loop_
_atom_site_label
_atom_site_type_symbol
_atom_site_fract_x
_atom_site_fract_y
_atom_site_fract_z
O1 O 0.409 0.600 0.579
I1 I 0.770 0.719 0.148
O2 O 0.608 0.867 0.762
Co1 Co 0.750 0.124 0.000
O3 O 0.591 0.900 0.079
I2 I 0.730 0.219 0.648
I3 I 0.770 0.219 0.352
O4 O 0.108 0.633 0.738
I4 I 0.230 0.781 0.648
I5 I 0.270 0.281 0.148
O5 O 0.108 0.133 0.762
O6 O 0.409 0.100 0.921
O7 O 0.063 0.179 0.420
O8 O 0.909 0.900 0.921
O9 O 0.591 0.400 0.421
O10 O 0.937 0.321 0.920
O11 O 0.091 0.600 0.421
O12 O 0.063 0.679 0.080
O13 O 0.563 0.821 0.420
I6 I 0.230 0.281 0.852
Co2 Co 0.250 0.376 0.500
I7 I 0.270 0.781 0.352
O14 O 0.608 0.367 0.738
O15 O 0.937 0.821 0.580
Co3 Co 0.750 0.624 0.500
O16 O 0.437 0.179 0.580
O17 O 0.909 0.400 0.579
O18 O 0.892 0.867 0.238
O19 O 0.091 0.100 0.079
O20 O 0.392 0.133 0.238
Co4 Co 0.250 0.876 0.000
O21 O 0.563 0.321 0.080
O22 O 0.437 0.679 0.920
I8 I 0.730 0.719 0.852
O23 O 0.392 0.633 0.262
O24 O 0.892 0.367 0.262
# uncorrected energy: -169.7 eV/cell
# calculated volume: 548 Å³ per cell
# ΔE_f: -0.927 eV/atom

---

Entry 6:
# GGA+U InCoO3, relaxed
data_InCoO3
_chemical_formula_sum 'In4 Co4 O12'
_symmetry_space_group_name_H-M 'P 1'
_symmetry_Int_Tables_number 1
_symmetry_space_group_name_Hall 'P 1'
_cell_length_a 5.124
_cell_length_b 5.314
_cell_length_c 7.435
_cell_angle_alpha 90.00
_cell_angle_beta 90.00
_cell_angle_gamma 90.00
loop_
_atom_site_label
_atom_site_type_symbol
_atom_site_fract_x
_atom_site_fract_y
_atom_site_fract_z
O1 O 0.381 0.951 0.750
O2 O 0.697 0.300 0.936
O3 O 0.697 0.300 0.564
O4 O 0.303 0.700 0.436
O5 O 0.303 0.700 0.064
In1 In 0.478 0.436 0.250
O6 O 0.881 0.549 0.250
Co1 Co 0.500 0.000 0.000
O7 O 0.803 0.800 0.564
O8 O 0.119 0.451 0.750
Co2 Co 0.000 0.500 0.000
Co3 Co 0.500 0.000 0.500
O9 O 0.619 0.049 0.250
O10 O 0.197 0.200 0.064
In2 In 0.978 0.064 0.750
O11 O 0.803 0.800 0.936
In3 In 0.022 0.936 0.250
Co4 Co 0.000 0.500 0.500
In4 In 0.522 0.564 0.750
O12 O 0.197 0.200 0.436
# uncorrected energy: -114.8 eV/cell
# calculated volume: 202 Å³ per cell
# ΔE_f: -1.540 eV/atom

---

Entry 7:
# GGA+U Rb6In2Co2Si9O26, relaxed
data_Rb6In2Co2Si9O26
_chemical_formula_sum 'Rb12 In4 Co4 Si18 O52'
_symmetry_space_group_name_H-M 'P 1'
_symmetry_Int_Tables_number 1
_symmetry_space_group_name_Hall 'P 1'
_cell_length_a 8.228
_cell_length_b 8.228
_cell_length_c 21.156
_cell_angle_alpha 90.00
_cell_angle_beta 90.00
_cell_angle_gamma 96.32
loop_
_atom_site_label
_atom_site_type_symbol
_atom_site_fract_x
_atom_site_fract_y
_atom_site_fract_z
Si1 Si 0.496 0.357 0.322
O1 O 0.106 0.556 0.300
O2 O 0.856 0.662 0.476
Rb1 Rb 0.788 0.708 0.335
Si2 Si 0.015 0.477 0.987
In1 In 0.272 0.685 0.090
In2 In 0.772 0.185 0.410
Rb2 Rb 0.011 0.011 0.000
Rb3 Rb 0.208 0.288 0.835
O3 O 0.343 0.983 0.789
O4 O 0.147 0.880 0.128
Si3 Si 0.996 0.857 0.178
Si4 Si 0.569 0.026 0.277
Rb4 Rb 0.511 0.511 0.500
Si5 Si 0.026 0.569 0.723
O5 O 0.241 0.566 0.185
O6 O 0.601 0.033 0.077
O7 O 0.518 0.759 0.144
O8 O 0.042 0.588 0.049
Si6 Si 0.515 0.977 0.513
O9 O 0.566 0.241 0.815
Si7 Si 0.636 0.930 0.141
O10 O 0.401 0.330 0.638
Si8 Si 0.477 0.015 0.013
Si9 Si 0.526 0.069 0.777
Si10 Si 0.357 0.496 0.678
O11 O 0.533 0.101 0.577
Rb5 Rb 0.674 0.674 0.000
O12 O 0.588 0.042 0.951
Si11 Si 0.930 0.636 0.859
Co1 Co 0.442 0.662 0.229
O13 O 0.901 0.830 0.862
Rb6 Rb 0.218 0.905 0.367
Si12 Si 0.430 0.136 0.641
O14 O 0.976 0.897 0.560
O15 O 0.531 0.470 0.260
O16 O 0.162 0.356 0.976
O17 O 0.088 0.542 0.549
O18 O 0.397 0.476 0.060
O19 O 0.556 0.106 0.700
O20 O 0.056 0.606 0.800
O21 O 0.483 0.843 0.289
O22 O 0.336 0.871 0.513
Rb7 Rb 0.905 0.218 0.633
Co2 Co 0.662 0.442 0.771
O23 O 0.330 0.401 0.362
O24 O 0.356 0.162 0.024
Rb8 Rb 0.174 0.174 0.500
Rb9 Rb 0.718 0.405 0.133
In3 In 0.685 0.272 0.910
Si13 Si 0.069 0.526 0.223
O25 O 0.836 0.371 0.987
O26 O 0.259 0.018 0.644
O27 O 0.101 0.533 0.423
O28 O 0.380 0.647 0.628
Co3 Co 0.162 0.942 0.729
O29 O 0.664 0.946 0.798
O30 O 0.476 0.397 0.940
O31 O 0.897 0.976 0.440
O32 O 0.031 0.970 0.240
O33 O 0.880 0.147 0.872
Rb10 Rb 0.708 0.788 0.665
O34 O 0.983 0.343 0.211
Si14 Si 0.356 0.356 0.000
O35 O 0.018 0.259 0.356
O36 O 0.066 0.741 0.685
O37 O 0.946 0.664 0.202
Si15 Si 0.857 0.996 0.822
O38 O 0.830 0.901 0.138
O39 O 0.542 0.088 0.451
O40 O 0.470 0.531 0.740
O41 O 0.970 0.031 0.760
Si16 Si 0.136 0.430 0.359
O42 O 0.164 0.446 0.702
O43 O 0.662 0.856 0.524
Si17 Si 0.856 0.856 0.500
O44 O 0.606 0.056 0.200
O45 O 0.033 0.601 0.923
O46 O 0.843 0.483 0.711
O47 O 0.371 0.836 0.013
O48 O 0.741 0.066 0.315
O49 O 0.647 0.380 0.372
Si18 Si 0.977 0.515 0.487
O50 O 0.759 0.518 0.856
In4 In 0.185 0.772 0.590
O51 O 0.871 0.336 0.487
O52 O 0.446 0.164 0.298
Rb11 Rb 0.405 0.718 0.867
Rb12 Rb 0.288 0.208 0.165
Co4 Co 0.942 0.162 0.271
# uncorrected energy: -609.1 eV/cell
# calculated volume: 1424 Å³ per cell
# ΔE_f: -2.725 eV/atom

---

Entry 8:
# GGA+U In2CoS2O2, relaxed
data_In2CoS2O2
_chemical_formula_sum 'In2 Co1 S2 O2'
_symmetry_space_group_name_H-M 'P 1'
_symmetry_Int_Tables_number 1
_symmetry_space_group_name_Hall 'P 1'
_cell_length_a 9.000
_cell_length_b 9.000
_cell_length_c 9.000
_cell_angle_alpha 154.67
_cell_angle_beta 154.67
_cell_angle_gamma 36.12
loop_
_atom_site_label
_atom_site_type_symbol
_atom_site_fract_x
_atom_site_fract_y
_atom_site_fract_z
Co1 Co 0.000 0.000 0.000
S1 S 0.865 0.865 0.000
In1 In 0.750 0.250 0.500
S2 S 0.135 0.135 0.000
O1 O 0.000 0.500 0.500
O2 O 0.500 0.000 0.500
In2 In 0.250 0.750 0.500
# uncorrected energy: -27.7 eV/cell
# calculated volume: 133 Å³ per cell
# ΔE_f: -0.130 eV/atom